(w)
The following is a PBE calculation of crystalline Ho4MgTi2O10 at its relaxed geometry, from the Materials Project.

POSCAR file:
```
Ho4MgTi2O10
1.0
5.490 0.000 0.000
-2.741 5.675 0.000
-0.246 -3.019 7.392
Ho Mg Ti O
4 1 2 10
Direct
0.000 0.000 0.000
0.014 0.002 0.481
0.739 0.471 0.071
0.760 0.493 0.553
0.551 0.040 0.679
0.323 0.671 0.835
0.379 0.729 0.273
0.151 0.867 0.734
0.175 0.740 0.052
0.331 0.388 0.142
0.439 0.090 0.455
0.592 0.748 0.519
0.609 0.561 0.828
0.668 0.076 0.929
0.780 0.886 0.216
0.984 0.596 0.341
0.989 0.334 0.674
```

Calculated values
Magnetization = 1.95 Bohr magnetons per cell
Mass density = 6.78 g/cm³
Symmetry = No. 1

---

(x)
The following is a PBE calculation of crystalline Ho4MgTi2O10 at its relaxed geometry, from the Materials Project.

POSCAR file:
```
Ho4MgTi2O10
1.0
4.124 0.000 0.000
0.000 10.605 0.000
-1.954 0.000 5.543
Ho Mg Ti O
4 1 2 10
Direct
0.000 0.177 0.000
0.000 0.823 0.000
0.297 0.313 0.560
0.297 0.687 0.560
0.674 0.500 0.217
0.280 0.000 0.631
0.936 0.500 0.849
0.037 0.373 0.176
0.037 0.627 0.176
0.199 0.126 0.387
0.199 0.874 0.387
0.426 0.500 0.845
0.440 0.154 0.867
0.440 0.846 0.867
0.868 0.325 0.702
0.868 0.675 0.702
0.891 0.000 0.734
```

Calculated values
Magnetization = 1.01 Bohr magnetons per cell
Mass density = 6.44 g/cm³
Symmetry = No. 6

---

Which one is the most stable? From the structures above, (w).